Entry 1:
Entry from the Materials Project: a relaxed structure of Tb3Er (PBE).

Properties
* calculated formation energy: 0.022 eV per atom
* calculated total energy: -4.5957 eV per atom

```
data_Tb3Er
_chemical_formula_sum 'Tb6 Er2'
_cell_length_a 5.016
_cell_length_b 5.016
_cell_length_c 10.071
_cell_angle_alpha 90.00
_cell_angle_beta 90.00
_cell_angle_gamma 90.00
_space_group_name_H-M_alt 'I 4/m m m'
_space_group_IT_number 139
_space_group_name_Hall '-I 4 2'
loop_
_atom_site_label
_atom_site_type_symbol
_atom_site_fract_x
_atom_site_fract_y
_atom_site_fract_z
Tb1 Tb 0.000 0.000 0.000
Tb2 Tb 0.000 0.500 0.250
Er1 Er 0.000 0.000 0.500
```



Entry 2:
Entry from the Materials Project: a relaxed structure of ErTc2W (PBE).

Properties
* calculated formation energy: -0.015 eV per atom
* calculated total energy: -9.5771 eV per atom

```
data_ErTc2W
_chemical_formula_sum 'Er4 Tc8 W4'
_cell_length_a 6.479
_cell_length_b 6.479
_cell_length_c 6.479
_cell_angle_alpha 90.00
_cell_angle_beta 90.00
_cell_angle_gamma 90.00
_space_group_name_H-M_alt 'F m -3 m'
_space_group_IT_number 225
_space_group_name_Hall '-F 4 2 3'
loop_
_atom_site_label
_atom_site_type_symbol
_atom_site_fract_x
_atom_site_fract_y
_atom_site_fract_z
Er1 Er 0.000 0.000 0.000
Tc1 Tc 0.250 0.250 0.250
W1 W 0.000 0.000 0.500
```



Entry 3:
Entry from the Materials Project: a relaxed structure of ErTe (PBE).

Properties
* calculated formation energy: -1.417 eV per atom
* calculated total energy: -5.0614 eV per atom

```
data_ErTe
_chemical_formula_sum 'Er4 Te4'
_cell_length_a 6.109
_cell_length_b 6.109
_cell_length_c 6.109
_cell_angle_alpha 90.00
_cell_angle_beta 90.00
_cell_angle_gamma 90.00
_space_group_name_H-M_alt 'F m -3 m'
_space_group_IT_number 225
_space_group_name_Hall '-F 4 2 3'
loop_
_atom_site_label
_atom_site_type_symbol
_atom_site_fract_x
_atom_site_fract_y
_atom_site_fract_z
Er1 Er 0.000 0.000 0.000
Te1 Te 0.000 0.000 0.500
```



Entry 4:
Entry from the Materials Project: a relaxed structure of ErTlTe2 (PBE).

Properties
* calculated formation energy: -1.246 eV per atom
* calculated total energy: -4.3392 eV per atom

```
data_ErTlTe2
_chemical_formula_sum 'Er3 Tl3 Te6'
_cell_length_a 4.4400
_cell_length_b 4.4400
_cell_length_c 24.5824
_cell_angle_alpha 90.00
_cell_angle_beta 90.00
_cell_angle_gamma 120.00
_space_group_name_H-M_alt 'R -3 m'
_space_group_IT_number 166
_space_group_name_Hall '-R 3 2"'
loop_
_atom_site_label
_atom_site_type_symbol
_atom_site_fract_x
_atom_site_fract_y
_atom_site_fract_z
Er1 Er 0.0000 0.0000 0.0000
Tl1 Tl 0.0000 0.0000 0.5000
Te1 Te 0.0000 0.0000 0.2634
```



Entry 5:
Entry from the Materials Project: a relaxed structure of Er3Th (PBE).

Properties
* calculated formation energy: 0.038 eV per atom
* calculated total energy: -5.2414 eV per atom

```
data_Er3Th
_chemical_formula_sum 'Er3 Th1'
_cell_length_a 3.5322
_cell_length_b 3.5322
_cell_length_c 11.5407
_cell_angle_alpha 90.00
_cell_angle_beta 90.00
_cell_angle_gamma 120.00
_space_group_name_H-M_alt 'P -6 m 2'
_space_group_IT_number 187
_space_group_name_Hall 'P -6 2'
loop_
_atom_site_label
_atom_site_type_symbol
_atom_site_fract_x
_atom_site_fract_y
_atom_site_fract_z
Er1 Er 0.0000 0.0000 0.0000
Er2 Er 0.6667 0.3333 0.2470
Th1 Th 0.0000 0.0000 0.5000
```



Entry 6:
Entry from the Materials Project: a relaxed structure of ErTl3 (PBE).

Properties
* calculated formation energy: -0.198 eV per atom
* calculated total energy: -3.1123 eV per atom

```
data_ErTl3
_chemical_formula_sum 'Er1 Tl3'
_cell_length_a 4.765
_cell_length_b 4.765
_cell_length_c 4.765
_cell_angle_alpha 90.00
_cell_angle_beta 90.00
_cell_angle_gamma 90.00
_space_group_name_H-M_alt 'P m -3 m'
_space_group_IT_number 221
_space_group_name_Hall '-P 4 2 3'
loop_
_atom_site_label
_atom_site_type_symbol
_atom_site_fract_x
_atom_site_fract_y
_atom_site_fract_z
Er1 Er 0.000 0.000 0.000
Tl1 Tl 0.000 0.500 0.500
```



Entry 7:
Entry from the Materials Project: a relaxed structure of ErTm3 (PBE).

Properties
* calculated formation energy: 0.007 eV per atom
* calculated total energy: -4.4923 eV per atom

```
data_ErTm3
_chemical_formula_sum 'Er2 Tm6'
_cell_length_a 7.1065
_cell_length_b 7.1065
_cell_length_c 5.5568
_cell_angle_alpha 90.00
_cell_angle_beta 90.00
_cell_angle_gamma 120.00
_space_group_name_H-M_alt 'P 63/m m c'
_space_group_IT_number 194
_space_group_name_Hall '-P 6c 2c'
loop_
_atom_site_label
_atom_site_type_symbol
_atom_site_fract_x
_atom_site_fract_y
_atom_site_fract_z
Er1 Er 0.3333 0.6667 0.2500
Tm1 Tm 0.1666 0.3332 0.7500
```



Entry 8:
Entry from the Materials Project: a relaxed structure of Er3Tm (PBE).

Properties
* calculated formation energy: 0.008 eV per atom
* calculated total energy: -4.5372 eV per atom

```
data_Er3Tm
_chemical_formula_sum 'Er6 Tm2'
_cell_length_a 7.1445
_cell_length_b 7.1445
_cell_length_c 5.5759
_cell_angle_alpha 90.00
_cell_angle_beta 90.00
_cell_angle_gamma 120.00
_space_group_name_H-M_alt 'P 63/m m c'
_space_group_IT_number 194
_space_group_name_Hall '-P 6c 2c'
loop_
_atom_site_label
_atom_site_type_symbol
_atom_site_fract_x
_atom_site_fract_y
_atom_site_fract_z
Er1 Er 0.1668 0.3336 0.2500
Tm1 Tm 0.3333 0.6667 0.7500
```



Q: The highest calculated total energy belongs to which entry?
A: ErTl3